Run 1
Here is an optimized crystal structure of Er from the Materials Project. Energies are from PBE-GGA.

extended XYZ file:
```
1
Lattice="2.3890 -0.7716 2.4484 0.6300 2.2578 2.6081 -1.0210 -0.7651 3.2664" Properties=species:S:1:pos:R:3 pbc="T T T"
Er 0.0000 0.0000 0.0000
```

Properties
As for the space group: Fm-3m, No. 225.

Run 2
Here is an optimized crystal structure of Er from the Materials Project. Energies are from PBE-GGA.

extended XYZ file:
```
2
Lattice="-2.9963 -0.8031 1.8017 2.7266 -2.3300 -0.0755 2.1191 2.3319 4.5636" Properties=species:S:1:pos:R:3 pbc="T T T"
Er 1.3487 -1.2381 1.6911
Er 0.5007 0.4368 4.5986
```

Properties
As for the space group: P6_3/mmc, No. 194.

Energies relative to the most stable structure are run 1 20; run 2 0, reported in meV per atom.

Run 1
Here is an optimized crystal structure of ErGa6Fe6 from the Materials Project. Energies are from PBE-GGA.

extended XYZ file:
```
13
Lattice="-1.8619 -0.6348 4.8172 3.8081 -3.7618 3.7864 4.0221 5.3116 -0.5557" Properties=species:S:1:pos:R:3 pbc="T T T"
Ga 3.3557 -0.7844 4.0039
Ga 1.9041 -1.8809 1.8932
Ga 2.6127 1.6994 4.0440
Ga 0.9731 -2.1983 4.3018
Ga 2.7138 0.6761 1.1380
Ga 3.2546 0.2389 6.9099
Fe 5.2702 0.8424 4.9582
Fe 1.0801 2.3384 2.1308
Fe 2.5920 -2.2979 6.3195
Fe 0.6982 0.0726 3.0897
Fe 3.3763 3.2129 1.7284
Fe 2.0111 2.6558 -0.2778
Er 0.0000 0.0000 0.0000
```

Properties
As for the space group: Fmmm, No. 69.

Run 2
Here is an optimized crystal structure of ErGa6Fe6 from the Materials Project. Energies are from PBE-GGA.

extended XYZ file:
```
13
Lattice="3.8979 -3.1592 -0.2954 5.7299 2.9581 1.2136 1.4328 -2.7702 5.7730" Properties=species:S:1:pos:R:3 pbc="T T T"
Fe 4.4293 -2.9533 4.5138
Fe 2.8649 1.4790 0.6068
Fe 2.6653 -2.9647 2.7388
Fe 4.8139 -0.1006 0.4591
Fe 6.6313 -0.0180 2.1774
Fe 0.7164 -1.3851 2.8865
Ga 6.0423 -0.9607 4.4878
Ga 2.8659 -0.8597 4.2524
Ga 8.5253 -1.9929 5.5311
Ga 2.5353 -0.9785 1.1602
Ga 5.0182 -2.0106 2.2035
Ga 4.2967 1.0476 2.7343
Er 0.0000 0.0000 0.0000
```

Properties
As for the space group: Immm, No. 71.

Energies relative to the most stable structure are run 1 153; run 2 0, reported in meV per atom.

Run 1
Here is an optimized crystal structure of Er2FeSi4 from the Materials Project. Energies are from PBE-GGA.

extended XYZ file:
```
7
Lattice="0.0000 0.0000 3.9720 4.0808 0.0000 0.0000 2.0404 7.4980 0.0000" Properties=species:S:1:pos:R:3 pbc="T T T"
Fe 4.0808 4.5954 0.9930
Si 4.0808 6.8495 0.9930
Si 4.0809 3.6436 2.9790
Si 2.0404 0.9468 2.9790
Si 2.0404 3.6521 0.9930
Er 4.0809 1.5438 0.9930
Er 2.0404 6.0015 2.9790
```

Properties
As for the space group: Amm2, No. 38.

Run 2
Here is an optimized crystal structure of Er2FeSi4 from the Materials Project. Energies are from PBE-GGA.

extended XYZ file:
```
7
Lattice="0.0000 0.0000 3.9612 3.9923 0.0000 0.0000 1.9962 7.9947 0.0000" Properties=species:S:1:pos:R:3 pbc="T T T"
Si 3.9923 7.3776 0.9903
Si 1.9962 3.0751 2.9709
Si 3.9923 4.9278 0.9903
Si 1.9962 0.6782 2.9709
Er 3.9923 1.6976 0.9903
Er 1.9962 6.2365 2.9709
Fe 1.9962 3.9887 0.9903
```

Properties
As for the space group: Amm2, No. 38.

Energies relative to the most stable structure are run 1 0; run 2 91, reported in meV per atom.